# 1
DFT (PBE with a Hubbard U) results for an optimized crystal structure of Sr2TbNiO6.

POSCAR file:
```
Sr2TbNiO6
1.0
0.0000 -4.0499 -4.0499
4.0499 0.0000 -4.0499
4.0499 -4.0499 0.0000
O Sr Tb Ni
6 2 1 1
Direct
0.2293 0.7707 0.2293
0.7707 0.2293 0.7707
0.7707 0.2293 0.2293
0.7707 0.7707 0.2293
0.2293 0.7707 0.7707
0.2293 0.2293 0.7707
0.7500 0.7500 0.7500
0.2500 0.2500 0.2500
0.5000 0.5000 0.5000
0.0000 0.0000 0.0000
```

Calculated volume: 133 Å³ per cell
Space group: No. 225

# 2
DFT (PBE with a Hubbard U) results for an optimized crystal structure of Sr2NiTeO6.

POSCAR file:
```
Sr2NiTeO6
1.0
2.8750 0.6194 4.7797
4.2938 -3.5397 1.1717
3.3619 4.5350 0.6857
O Sr Ni Te
6 2 1 1
Direct
0.0000 0.2597 0.7403
0.5170 0.7872 0.7872
0.0000 0.7403 0.2597
0.4830 0.2128 0.2128
0.0912 0.6956 0.6956
0.9088 0.3044 0.3044
0.5000 0.7500 0.2500
0.5000 0.2500 0.7500
0.0000 0.0000 0.0000
0.0000 0.5000 0.5000
```

Calculated volume: 128 Å³ per cell
Space group: No. 87

# 3
DFT (PBE with a Hubbard U) results for an optimized crystal structure of Sr2NiTeO6.

POSCAR file:
```
Sr2NiTeO6
1.0
3.2387 -4.6603 5.6853
1.6548 4.6365 8.4327
-6.5429 -4.6603 0.0463
Sr Ni O Te
8 4 24 4
Direct
0.1270 0.2502 0.8772
0.6230 0.2498 0.8728
0.1230 0.2498 0.3728
0.8770 0.7502 0.6272
0.3770 0.7502 0.1272
0.8730 0.7498 0.1228
0.6270 0.2502 0.3772
0.3730 0.7498 0.6228
0.7500 0.5000 0.2500
0.2500 0.5000 0.7500
0.0000 0.0000 0.5000
0.5000 0.0000 0.0000
0.8483 0.2404 0.0888
0.4736 0.5340 0.2652
0.2688 0.4660 0.9924
0.9812 0.0340 0.2576
0.7236 0.0340 0.5152
0.7312 0.5340 0.0076
0.9736 0.5340 0.7652
0.9017 0.2596 0.6612
0.6517 0.7596 0.4112
0.0188 0.9660 0.7424
0.5264 0.4660 0.7348
0.7688 0.4660 0.4924
0.5188 0.9660 0.2424
0.0264 0.4660 0.2348
0.4812 0.0340 0.7576
0.5983 0.7404 0.8388
0.4017 0.2596 0.1612
0.0983 0.7404 0.3388
0.1517 0.7596 0.9112
0.3483 0.2404 0.5888
0.7764 0.9660 0.9848
0.2236 0.0340 0.0152
0.2764 0.9660 0.4848
0.2312 0.5340 0.5076
0.0000 0.0000 0.0000
0.7500 0.5000 0.7500
0.5000 0.0000 0.5000
0.2500 0.5000 0.2500
```

Calculated volume: 514 Å³ per cell

# 4
DFT (PBE with a Hubbard U) results for an optimized crystal structure of Sr2NiTeO6.

POSCAR file:
```
Sr2NiTeO6
1.0
-7.9801 0.5959 0.3424
-0.2935 -6.5374 4.6185
-3.2141 8.1427 4.3920
O Te Ni Sr
24 4 4 8
Direct
0.0087 0.2494 0.4985
0.9912 0.7507 0.5016
0.5006 0.7413 0.9985
0.8779 0.1221 0.2422
0.3721 0.1279 0.2578
0.2494 0.0088 0.5015
0.6279 0.8721 0.7422
0.7412 0.5006 0.0015
0.3779 0.6221 0.2422
0.7507 0.9912 0.4984
0.2413 0.0006 0.0015
0.4912 0.2507 0.5016
0.0006 0.2412 0.9985
0.9993 0.7588 0.0016
0.7588 0.9993 0.9984
0.7494 0.5087 0.5015
0.6221 0.3779 0.7578
0.2507 0.4912 0.4984
0.1221 0.8779 0.7578
0.8721 0.6279 0.2578
0.1279 0.3721 0.7422
0.4993 0.2588 0.0016
0.2588 0.4993 0.9984
0.5088 0.7494 0.4985
0.0000 0.0000 0.0000
0.5000 0.5000 0.0000
0.7500 0.7500 0.4999
0.2500 0.2500 0.5001
0.7500 0.2500 0.5000
0.2500 0.7500 0.5000
0.5000 0.0000 0.0000
0.0000 0.5000 0.0000
0.1252 0.3748 0.2500
0.3748 0.1252 0.7500
0.6248 0.3752 0.2500
0.3752 0.6248 0.7500
0.1248 0.8752 0.2500
0.8748 0.6252 0.7500
0.6252 0.8748 0.2500
0.8752 0.1248 0.7500
```

Calculated volume: 513 Å³ per cell

# 5
DFT (PBE with a Hubbard U) results for an optimized crystal structure of Sr2NiTeO6.

POSCAR file:
```
Sr2NiTeO6
1.0
1.9330 0.1956 5.9885
-5.1919 1.5595 3.2013
0.7757 -4.6453 -4.1781
Te O Ni Sr
1 6 1 2
Direct
0.0000 0.5000 0.5000
0.2429 0.7556 0.9986
0.8009 0.3009 0.5000
0.2429 0.2444 0.4873
0.7571 0.2444 0.0014
0.1991 0.6991 0.5000
0.7571 0.7556 0.5127
0.0000 0.0000 0.0000
0.3084 0.3084 0.0000
0.6916 0.6916 0.0000
```

Calculated volume: 150 Å³ per cell
Space group: No. 71

# 6
DFT (PBE with a Hubbard U) results for an optimized crystal structure of Sr2YTlNi2O7.

POSCAR file:
```
Sr2YTlNi2O7
1.0
3.8577 -0.0002 0.0000
-0.0002 3.8577 0.0000
0.0000 0.0000 12.0584
Tl O Ni Sr Y
1 7 2 2 1
Direct
0.0000 0.0000 0.0000
0.0000 0.0000 0.1803
0.5000 0.0000 0.6202
0.0000 0.5000 0.6202
0.0000 0.0000 0.8197
0.5000 0.0000 0.3798
0.0000 0.5000 0.3798
0.5000 0.5000 0.0000
0.0000 0.0000 0.6494
0.0000 0.0000 0.3506
0.5000 0.5000 0.2109
0.5000 0.5000 0.7891
0.5000 0.5000 0.5000
```

Calculated volume: 179 Å³ per cell
Space group: No. 123

# 7
DFT (PBE with a Hubbard U) results for an optimized crystal structure of Sr12Tm3Ni5O24.

POSCAR file:
```
Sr12Tm3Ni5O24
1.0
4.8924 4.6703 0.0000
-4.8924 4.6703 0.0000
0.0000 0.9029 13.4877
O Tm Sr Ni
24 3 12 5
Direct
0.4667 0.0817 0.9870
0.7888 0.9624 0.0808
0.4158 0.7152 0.1036
0.5430 0.9161 0.2621
0.7842 0.9598 0.5810
0.5387 0.9076 0.7736
0.2126 0.0427 0.6708
0.2877 0.5923 0.3947
0.0839 0.4570 0.7379
0.0402 0.2158 0.4190
0.2848 0.5842 0.8964
0.4575 0.0933 0.4780
0.4077 0.7123 0.6053
0.9573 0.7874 0.3292
0.5878 0.2825 0.1400
0.0376 0.2112 0.9192
0.2109 0.0397 0.1677
0.7175 0.4122 0.8600
0.7131 0.4138 0.3520
0.5862 0.2869 0.6480
0.9183 0.5333 0.0130
0.0924 0.4613 0.2264
0.9603 0.7891 0.8323
0.9067 0.5425 0.5220
0.2492 0.7498 0.7528
0.7476 0.2524 0.5000
0.2502 0.7508 0.2472
0.1147 0.8853 0.0000
0.8779 0.1195 0.7582
0.7493 0.6201 0.6871
0.2520 0.3774 0.0628
0.2466 0.3804 0.5668
0.3799 0.2507 0.3129
0.6196 0.7534 0.4332
0.1180 0.8820 0.5000
0.6226 0.7480 0.9372
0.3876 0.2483 0.8213
0.8805 0.1221 0.2418
0.7517 0.6124 0.1787
0.7526 0.2474 0.0000
0.4985 0.0008 0.6267
0.9992 0.5015 0.3733
0.5055 0.0027 0.1222
0.9973 0.4945 0.8778
```

Calculated volume: 616 Å³ per cell
Space group: No. 5

# 8
DFT (PBE with a Hubbard U) results for an optimized crystal structure of Sr2UNiO6.

POSCAR file:
```
Sr2UNiO6
1.0
-2.4966 -3.3222 -4.0968
3.7771 -4.2928 1.1794
-1.4465 -7.2724 6.7789
U O Ni Sr
2 12 2 4
Direct
0.0000 0.0000 0.5000
0.5000 0.0000 0.0000
0.7215 0.3150 0.9610
0.4855 0.8279 0.2481
0.9855 0.1721 0.2519
0.7246 0.7370 0.5415
0.2754 0.2630 0.4585
0.7754 0.7370 0.0415
0.2246 0.2630 0.9585
0.5145 0.1721 0.7519
0.7785 0.3150 0.4610
0.0145 0.8279 0.7481
0.2785 0.6850 0.0390
0.2215 0.6850 0.5390
0.5000 0.5000 0.5000
0.0000 0.5000 0.0000
0.5268 0.2614 0.2475
0.4732 0.7386 0.7525
0.9732 0.2614 0.7475
0.0268 0.7386 0.2525
```

Calculated volume: 280 Å³ per cell
Space group: No. 14

# 9
DFT (PBE with a Hubbard U) results for an optimized crystal structure of Sr2V11NiO22.

POSCAR file:
```
Sr2V11NiO22
1.0
2.9822 -5.1029 0.0000
2.9822 5.1029 0.0000
0.0000 0.0000 13.2270
O V Sr Ni
22 11 2 1
Direct
0.6475 0.8186 0.8313
0.3472 0.1781 0.6684
0.1814 0.3525 0.1687
0.3083 0.1593 0.0000
0.8219 0.6528 0.3316
0.8219 0.6528 0.6684
0.1466 0.2886 0.5000
0.6621 0.3379 0.1605
0.8407 0.6917 0.0000
0.3394 0.6606 0.3348
0.3394 0.6606 0.6652
0.8461 0.1539 0.0000
0.3472 0.1781 0.3316
0.1754 0.8246 0.8332
0.1754 0.8246 0.1668
0.1814 0.3525 0.8313
0.8332 0.1668 0.6666
0.6475 0.8186 0.1687
0.1410 0.8590 0.5000
0.8332 0.1668 0.3334
0.7114 0.8534 0.5000
0.6621 0.3379 0.8395
0.0032 0.9968 0.1069
0.4974 0.5026 0.2514
0.9949 0.0051 0.6010
0.0032 0.9968 0.8931
0.4983 0.9999 0.7509
0.0001 0.5017 0.2491
0.4983 0.9999 0.2491
0.0001 0.5017 0.7509
0.4974 0.5026 0.7486
0.9949 0.0051 0.3990
0.6689 0.3311 0.0000
0.3344 0.6656 0.0000
0.6645 0.3355 0.5000
0.3339 0.6661 0.5000
```

Calculated volume: 403 Å³ per cell
Space group: No. 38

# 10
DFT (PBE with a Hubbard U) results for an optimized crystal structure of SrV2Ni2O8.

POSCAR file:
```
SrV2Ni2O8
1.0
8.6385 4.3869 -0.5252
-7.3444 1.8849 6.0541
2.6091 -8.8615 2.9684
O V Sr Ni
32 8 4 8
Direct
0.4494 0.7860 0.3320
0.0634 0.8991 0.5195
0.1500 0.8193 0.9890
0.8303 0.1610 0.0110
0.3593 0.0065 0.3459
0.0693 0.5803 0.1693
0.5634 0.0439 0.1643
0.4540 0.1174 0.6680
0.9110 0.0803 0.5110
0.7565 0.6093 0.8459
0.8796 0.3991 0.8357
0.2565 0.4106 0.1471
0.7939 0.8134 0.6643
0.4110 0.9000 0.8308
0.2939 0.6296 0.9805
0.3303 0.3193 0.6692
0.3674 0.1994 0.1634
0.8674 0.7040 0.1680
0.6491 0.3134 0.0195
0.6606 0.0135 0.6541
0.9540 0.2860 0.3366
0.3796 0.5439 0.4805
0.1491 0.1296 0.3357
0.8593 0.5135 0.3529
0.5693 0.4000 0.4890
0.5360 0.6994 0.8320
0.7635 0.9106 0.1541
0.0360 0.2040 0.8366
0.2635 0.1093 0.8529
0.6500 0.6610 0.3308
0.9494 0.6174 0.6634
0.1606 0.5065 0.6471
0.3477 0.6835 0.8238
0.8598 0.5239 0.1762
0.4335 0.5977 0.3238
0.9335 0.6098 0.8358
0.2739 0.1098 0.6762
0.8477 0.0239 0.6642
0.7739 0.0977 0.1642
0.3598 0.1835 0.3358
0.2543 0.7543 0.5000
0.5043 0.5043 0.0000
0.7543 0.2543 0.5000
0.0043 0.0043 0.0000
0.6490 0.1510 0.8366
0.8144 0.6510 0.5020
0.5624 0.5644 0.6634
0.1490 0.3124 0.4980
0.4010 0.0644 0.0020
0.0624 0.3990 0.9980
0.3144 0.8124 0.1634
0.9010 0.8990 0.3366
```

Calculated volume: 645 Å³ per cell
Space group: No. 110

# 11
DFT (PBE with a Hubbard U) results for an optimized crystal structure of Sr2Y2Ni2O7.

POSCAR file:
```
Sr2Y2Ni2O7
1.0
-2.7545 2.7658 12.0086
2.7545 -2.7658 12.0086
2.7545 2.7658 -12.0086
Y O Sr Ni
4 14 4 4
Direct
0.7957 0.2676 0.5633
0.0000 0.9719 0.9719
0.5000 0.4719 0.9719
0.2043 0.7676 0.4720
0.1873 0.6157 0.4772
0.1774 0.1464 0.4477
0.7022 0.6712 0.4924
0.2978 0.7902 0.9690
0.6788 0.1712 0.9690
0.1804 0.1686 0.8491
0.8196 0.6686 0.9882
0.8012 0.7703 0.4477
0.8127 0.2898 0.4284
0.3212 0.2902 0.4924
0.8226 0.2703 0.9690
0.6386 0.1157 0.4284
0.3614 0.7898 0.4772
0.1988 0.6464 0.9690
0.8523 0.8355 0.9651
0.6296 0.6128 0.9651
0.1477 0.1128 0.9832
0.3704 0.3355 0.9832
0.0771 0.5470 0.4699
0.9229 0.3928 0.4699
0.4229 0.8928 0.4699
0.5771 0.0470 0.4699
```

Calculated volume: 366 Å³ per cell
Space group: No. 46

# 12
DFT (PBE with a Hubbard U) results for an optimized crystal structure of Sr2YNi2O7.

POSCAR file:
```
Sr2YNi2O7
1.0
-11.3832 -4.2525 1.8390
-9.2901 -0.3259 8.0393
8.8946 5.4661 -6.4847
Y O Sr Ni
2 14 4 4
Direct
0.5168 0.5000 0.0168
0.0168 0.0000 0.0168
0.6756 0.1254 0.4800
0.3402 0.3051 0.5167
0.7116 0.6765 0.5167
0.1973 0.2028 0.5154
0.8125 0.8181 0.5154
0.6973 0.1819 0.9945
0.3546 0.8746 0.5502
0.1756 0.6956 0.5502
0.8546 0.3044 0.4800
0.5137 0.4898 0.5035
0.8402 0.3235 0.0351
0.2116 0.6949 0.0351
0.0137 0.5102 0.0238
0.3125 0.7972 0.9945
0.8409 0.7959 0.9762
0.1804 0.2041 0.0450
0.3409 0.3646 0.0450
0.6804 0.6354 0.9762
0.5985 0.0749 0.5077
0.0985 0.5909 0.5236
0.9327 0.4091 0.5077
0.4327 0.9251 0.5236
```

Calculated volume: 340 Å³ per cell
Space group: No. 46

Number 1: total moment 0.00 μB/atom, energy -6.130 eV/atom. Number 2: total moment 0.20 μB/atom, energy -5.846 eV/atom. Number 3: total moment 0.00 μB/atom, energy -5.848 eV/atom. Number 4: total moment 0.00 μB/atom, energy -5.833 eV/atom. Number 5: total moment 0.00 μB/atom, energy -5.604 eV/atom. Number 6: total moment 0.27 μB/atom, energy -5.974 eV/atom. Number 7: total moment 0.11 μB/atom, energy -6.145 eV/atom. Number 8: total moment 0.00 μB/atom, energy -7.385 eV/atom. Number 9: total moment 0.53 μB/atom, energy -7.582 eV/atom. Number 10: total moment 0.31 μB/atom, energy -6.649 eV/atom. Number 11: total moment 0.31 μB/atom, energy -6.789 eV/atom. Number 12: total moment 0.08 μB/atom, energy -5.976 eV/atom.